[1]
Crystalline Te2MoW3Se2S4 at its relaxed geometry. Source: the Materials Project database, functional GGA-PBE.

**Theoretical density**: 5.3 Mg/m³
**Total DFT energy (no corrections)**: -85.86 eV/cell
**SG**: No. 156

a b c (Å): 3.3073 3.3073 39.1235
angles (deg): 90.00 90.00 120.00
Last column: nearest neighbours and their distance in Å.
Sites, in units of the cell vectors:
Te1 0.0000 0.0000 0.7084  3 W 2.71
Te2 0.0000 0.0000 0.6100  3 W 2.71
Mo1 0.3333 0.6667 0.2818  6 S 2.45
W1 0.0000 0.0000 0.0940  6 S 2.45
W2 0.0000 0.0000 0.4680  6 Se 2.55
W3 0.3333 0.6667 0.6592  6 Te 2.71
Se1 0.3333 0.6667 0.4249  3 W 2.55
Se2 0.3333 0.6667 0.5111  3 W 2.55
S1 0.0000 0.0000 0.3208  3 Mo 2.45
S2 0.3333 0.6667 0.0547  3 W 2.45
S3 0.3333 0.6667 0.1331  3 W 2.45
S4 0.0000 0.0000 0.2427  3 Mo 2.45

[2]
Crystalline TeMoWSe2S at its relaxed geometry. Source: the Materials Project database, functional GGA-PBE.

**Theoretical density**: 5.2 Mg/m³
**Total DFT energy (no corrections)**: -82.19 eV/cell
**SG**: No. 156

a b c (Å): 3.3455 3.3455 39.1970
angles (deg): 90.00 90.00 120.00
Last column: nearest neighbours and their distance in Å.
Sites, in units of the cell vectors:
Te1 0.6667 0.3333 0.4210  3 W 2.71
Te2 0.6667 0.3333 0.5183  3 W 2.71
Mo1 0.3333 0.6667 0.0939  6 S 2.45
Mo2 0.6667 0.3333 0.6583  6 Se 2.55
W1 0.3333 0.6667 0.4696  6 Te 2.71
W2 0.6667 0.3333 0.2811  6 Se 2.56
Se1 0.3333 0.6667 0.3238  3 W 2.56
Se2 0.3333 0.6667 0.7008  3 Mo 2.55
Se3 0.3333 0.6667 0.2384  3 W 2.56
Se4 0.3333 0.6667 0.6158  3 Mo 2.55
S1 0.6667 0.3333 0.0552  3 Mo 2.45
S2 0.6667 0.3333 0.1325  3 Mo 2.45

[3]
Crystalline Te2MoW3Se4S2 at its relaxed geometry. Source: the Materials Project database, functional GGA-PBE.

**Theoretical density**: 5.5 Mg/m³
**Total DFT energy (no corrections)**: -83.96 eV/cell
**SG**: No. 156

a b c (Å): 3.3455 3.3455 39.7067
angles (deg): 90.00 90.00 120.00
Last column: nearest neighbours and their distance in Å.
Sites, in units of the cell vectors:
Te1 0.6667 0.3333 0.4215  3 W 2.71
Te2 0.6667 0.3333 0.5176  3 W 2.71
Mo1 0.3333 0.6667 0.0939  6 S 2.46
W1 0.3333 0.6667 0.4695  6 Te 2.71
W2 0.6667 0.3333 0.2810  6 Se 2.56
W3 0.6667 0.3333 0.6585  6 Se 2.56
Se1 0.3333 0.6667 0.3231  3 W 2.56
Se2 0.3333 0.6667 0.7006  3 W 2.56
Se3 0.3333 0.6667 0.2388  3 W 2.56
Se4 0.3333 0.6667 0.6164  3 W 2.56
S1 0.6667 0.3333 0.0557  3 Mo 2.46
S2 0.6667 0.3333 0.1321  3 Mo 2.46

[4]
Crystalline TeMoWSe2S at its relaxed geometry. Source: the Materials Project database, functional GGA-PBE.

**Theoretical density**: 5.4 Mg/m³
**Total DFT energy (no corrections)**: -82.44 eV/cell
**SG**: No. 156

a b c (Å): 3.3438 3.3438 38.0517
angles (deg): 90.00 90.00 120.00
Last column: nearest neighbours and their distance in Å.
Sites, in units of the cell vectors:
Te1 0.3333 0.6667 0.0440  3 Mo 2.71
Te2 0.3333 0.6667 0.1438  3 Mo 2.71
Mo1 0.0000 0.0000 0.0939  6 Te 2.71
Mo2 0.3333 0.6667 0.2818  6 S 2.45
W1 0.0000 0.0000 0.4697  6 Se 2.56
W2 0.3333 0.6667 0.6576  6 Se 2.56
Se1 0.0000 0.0000 0.7016  3 W 2.56
Se2 0.3333 0.6667 0.4256  3 W 2.56
Se3 0.3333 0.6667 0.5137  3 W 2.56
Se4 0.0000 0.0000 0.6135  3 W 2.56
S1 0.0000 0.0000 0.3216  3 Mo 2.45
S2 0.0000 0.0000 0.2420  3 Mo 2.45

| no. | total energy after the MP2020 corrections (eV per formula unit) | energy relative to the elements (eV/atom) |
| --- | --- | --- |
| 1 | -87.87 | -0.694 |
| 2 | -41.60 | -0.587 |
| 3 | -84.97 | -0.559 |
| 4 | -41.72 | -0.608 |